No. 1
A plane-wave DFT calculation with GGA-PBE was carried out for a geometry-optimized Na8Ti2Ga2Si5SO24 structure.

Results
* density: 3.17 g/cm³
* size of the total moment: 0.0 μB/cell
* DFT total energy: -6.674 eV per atom
* energy relative to the elements: -2722.6 meV per atom

Geometry as CIF:
```
data_Na8Ti2Ga2Si5SO24
_cell_length_a 8.974
_cell_length_b 8.983
_cell_length_c 21.979
_cell_angle_alpha 89.32
_cell_angle_beta 89.84
_cell_angle_gamma 60.08
_symmetry_space_group_name_H-M 'P 1'
_symmetry_Int_Tables_number 1
loop_
_symmetry_equiv_pos_as_xyz
'x,y,z'
loop_
_atom_site_label
_atom_site_type_symbol
_atom_site_fract_x
_atom_site_fract_y
_atom_site_fract_z
Na1 Na 0.000 0.000 0.000
Na2 Na 0.002 0.635 0.501
Na3 Na 0.029 0.938 0.336
Na4 Na 0.031 0.681 0.838
Na5 Na 0.034 0.311 0.084
Na6 Na 0.037 0.306 0.583
Na7 Na 0.071 0.601 0.163
Na8 Na 0.077 0.964 0.669
Na9 Na 0.324 0.344 0.663
Na10 Na 0.338 0.968 0.167
Na11 Na 0.358 0.010 0.501
Na12 Na 0.360 0.653 0.751
Na13 Na 0.361 0.279 0.002
Na14 Na 0.372 0.634 0.251
Na15 Na 0.400 0.929 0.833
Na16 Na 0.404 0.305 0.334
Na17 Na 0.661 0.678 0.333
Na18 Na 0.667 0.309 0.837
Na19 Na 0.689 0.349 0.168
Na20 Na 0.696 0.610 0.668
Na21 Na 0.698 0.975 0.415
Na22 Na 0.706 0.967 0.917
Na23 Na 0.730 0.639 0.001
Na24 Na 0.733 0.272 0.500
Ti1 Ti 0.014 0.309 0.939
Ti2 Ti 0.031 0.306 0.436
Ti3 Ti 0.033 0.318 0.235
Ti4 Ti 0.364 0.639 0.399
Ti5 Ti 0.685 0.968 0.062
Ti6 Ti 0.693 0.958 0.562
Ga1 Ga 0.033 0.305 0.733
Ga2 Ga 0.352 0.653 0.599
Ga3 Ga 0.365 0.653 0.904
Ga4 Ga 0.378 0.627 0.098
Ga5 Ga 0.680 0.977 0.273
Ga6 Ga 0.719 0.940 0.769
Si1 Si 0.029 0.015 0.832
Si2 Si 0.029 0.603 0.335
Si3 Si 0.071 0.932 0.501
Si4 Si 0.078 0.639 0.001
Si5 Si 0.319 0.017 0.334
Si6 Si 0.360 0.930 0.002
Si7 Si 0.365 0.351 0.503
Si8 Si 0.406 0.973 0.670
Si9 Si 0.408 0.265 0.168
Si10 Si 0.650 0.349 0.000
Si11 Si 0.652 0.634 0.503
Si12 Si 0.695 0.682 0.169
Si13 Si 0.738 0.594 0.833
Si14 Si 0.742 0.304 0.334
Si15 Si 0.997 0.675 0.668
S1 S 0.322 0.306 0.834
S2 S 0.698 0.260 0.668
S3 S 0.987 0.973 0.168
O1 O 0.002 0.140 0.892
O2 O 0.003 0.131 0.171
O3 O 0.005 0.488 0.673
O4 O 0.051 0.124 0.493
O5 O 0.055 0.468 0.994
O6 O 0.066 0.475 0.276
O7 O 0.070 0.100 0.773
O8 O 0.159 0.678 0.940
O9 O 0.161 0.819 0.164
O10 O 0.162 0.805 0.443
O11 O 0.189 0.654 0.662
O12 O 0.192 0.859 0.561
O13 O 0.195 0.109 0.275
O14 O 0.195 0.125 0.993
O15 O 0.196 0.328 0.495
O16 O 0.197 0.600 0.061
O17 O 0.200 0.823 0.839
O18 O 0.205 0.613 0.339
O19 O 0.215 0.148 0.673
O20 O 0.216 0.335 0.778
O21 O 0.218 0.276 0.172
O22 O 0.226 0.141 0.393
O23 O 0.242 0.278 0.889
O24 O 0.319 0.849 0.062
O25 O 0.328 0.471 0.562
O26 O 0.335 0.827 0.339
O27 O 0.339 0.462 0.837
O28 O 0.382 0.459 0.162
O29 O 0.394 0.798 0.664
O30 O 0.399 0.441 0.443
O31 O 0.412 0.812 0.942
O32 O 0.496 0.152 0.829
O33 O 0.501 0.004 0.610
O34 O 0.504 0.138 0.109
O35 O 0.508 0.000 0.332
O36 O 0.522 0.666 0.163
O37 O 0.528 0.675 0.443
O38 O 0.529 0.430 0.940
O39 O 0.529 0.945 0.730
O40 O 0.531 0.182 0.228
O41 O 0.533 0.952 0.008
O42 O 0.539 0.159 0.508
O43 O 0.544 0.434 0.664
O44 O 0.548 0.611 0.839
O45 O 0.554 0.479 0.339
O46 O 0.571 0.597 0.563
O47 O 0.584 0.467 0.060
O48 O 0.664 0.802 0.228
O49 O 0.669 0.810 0.507
O50 O 0.672 0.180 0.724
O51 O 0.681 0.154 0.008
O52 O 0.721 0.786 0.832
O53 O 0.723 0.155 0.614
O54 O 0.728 0.131 0.329
O55 O 0.730 0.774 0.109
O56 O 0.828 0.475 0.773
O57 O 0.835 0.338 0.274
O58 O 0.845 0.327 0.994
O59 O 0.845 0.469 0.496
O60 O 0.849 0.007 0.828
O61 O 0.855 0.277 0.671
O62 O 0.860 0.790 0.327
O63 O 0.864 0.775 0.610
O64 O 0.865 0.275 0.393
O65 O 0.866 0.501 0.892
O66 O 0.871 0.489 0.172
O67 O 0.880 0.952 0.508
O68 O 0.881 0.999 0.113
O69 O 0.884 0.811 0.008
O70 O 0.909 0.947 0.223
O71 O 0.920 0.798 0.727
O72 O 0.996 0.508 0.393
```

=====

No. 2
A plane-wave DFT calculation with GGA-PBE was carried out for a geometry-optimized Na4Ti2Ga2Si3S3O24 structure.

Results
* density: 2.98 g/cm³
* size of the total moment: 0.0 μB/cell
* DFT total energy: -6.698 eV per atom
* energy relative to the elements: -2537.8 meV per atom

Geometry as CIF:
```
data_Na4Ti2Ga2Si3S3O24
_cell_length_a 8.757
_cell_length_b 8.788
_cell_length_c 22.311
_cell_angle_alpha 91.31
_cell_angle_beta 90.02
_cell_angle_gamma 119.73
_symmetry_space_group_name_H-M 'P 1'
_symmetry_Int_Tables_number 1
loop_
_symmetry_equiv_pos_as_xyz
'x,y,z'
loop_
_atom_site_label
_atom_site_type_symbol
_atom_site_fract_x
_atom_site_fract_y
_atom_site_fract_z
Na1 Na 0.000 0.000 0.000
Na2 Na 0.002 0.002 0.495
Na3 Na 0.032 0.337 0.580
Na4 Na 0.303 0.334 0.076
Na5 Na 0.324 0.664 0.665
Na6 Na 0.330 0.675 0.161
Na7 Na 0.360 0.997 0.244
Na8 Na 0.633 0.002 0.752
Na9 Na 0.660 0.330 0.836
Na10 Na 0.671 0.334 0.330
Na11 Na 0.693 0.664 0.917
Na12 Na 0.969 0.666 0.411
Ti1 Ti 0.005 0.002 0.350
Ti2 Ti 0.311 0.669 0.512
Ti3 Ti 0.358 0.684 0.017
Ti4 Ti 0.670 0.349 0.177
Ti5 Ti 0.690 0.351 0.683
Ti6 Ti 0.997 0.027 0.855
Ga1 Ga 0.007 0.000 0.647
Ga2 Ga 0.309 0.669 0.313
Ga3 Ga 0.321 0.653 0.819
Ga4 Ga 0.637 0.320 0.978
Ga5 Ga 0.673 0.338 0.474
Ga6 Ga 0.998 0.972 0.140
Si1 Si 0.014 0.301 0.745
Si2 Si 0.038 0.372 0.411
Si3 Si 0.337 0.385 0.914
Si4 Si 0.343 0.971 0.411
Si5 Si 0.373 0.044 0.080
Si6 Si 0.614 0.966 0.910
Si7 Si 0.673 0.630 0.076
Si8 Si 0.954 0.637 0.578
Si9 Si 0.995 0.705 0.246
S1 S 0.043 0.670 0.912
S2 S 0.287 0.297 0.246
S3 S 0.289 0.004 0.746
S4 S 0.380 0.337 0.579
S5 S 0.616 0.670 0.412
S6 S 0.664 0.043 0.579
S7 S 0.709 0.712 0.745
S8 S 0.712 0.001 0.246
S9 S 0.954 0.335 0.079
O1 O 0.018 0.179 0.404
O2 O 0.021 0.829 0.905
O3 O 0.027 0.204 0.683
O4 O 0.044 0.842 0.192
O5 O 0.118 0.640 0.856
O6 O 0.127 0.503 0.356
O7 O 0.130 0.495 0.076
O8 O 0.146 0.642 0.574
O9 O 0.154 0.973 0.406
O10 O 0.155 0.703 0.966
O11 O 0.161 0.187 0.904
O12 O 0.163 0.465 0.473
O13 O 0.176 0.498 0.753
O14 O 0.178 0.696 0.251
O15 O 0.180 0.221 0.191
O16 O 0.181 0.971 0.690
O17 O 0.186 0.042 0.088
O18 O 0.198 0.183 0.584
O19 O 0.203 0.181 0.299
O20 O 0.205 0.031 0.799
O21 O 0.293 0.467 0.973
O22 O 0.297 0.832 0.469
O23 O 0.314 0.475 0.255
O24 O 0.315 0.850 0.749
O25 O 0.348 0.847 0.072
O26 O 0.361 0.498 0.576
O27 O 0.374 0.501 0.855
O28 O 0.376 0.885 0.352
O29 O 0.455 0.168 0.024
O30 O 0.457 0.306 0.525
O31 O 0.462 0.304 0.242
O32 O 0.467 0.164 0.739
O33 O 0.486 0.634 0.074
O34 O 0.488 0.360 0.634
O35 O 0.498 0.135 0.142
O36 O 0.503 0.876 0.848
O37 O 0.506 0.163 0.424
O38 O 0.507 0.867 0.573
O39 O 0.510 0.641 0.357
O40 O 0.512 0.368 0.917
O41 O 0.531 0.831 0.967
O42 O 0.534 0.697 0.749
O43 O 0.535 0.842 0.251
O44 O 0.536 0.699 0.467
O45 O 0.632 0.499 0.134
O46 O 0.634 0.125 0.635
O47 O 0.642 0.516 0.418
O48 O 0.655 0.163 0.920
O49 O 0.687 0.158 0.243
O50 O 0.687 0.532 0.737
O51 O 0.696 0.156 0.528
O52 O 0.704 0.541 0.017
O53 O 0.791 0.823 0.692
O54 O 0.794 0.978 0.191
O55 O 0.796 0.829 0.408
O56 O 0.807 0.966 0.903
O57 O 0.818 0.787 0.800
O58 O 0.819 0.511 0.239
O59 O 0.823 0.030 0.301
O60 O 0.823 0.306 0.736
O61 O 0.826 0.030 0.586
O62 O 0.832 0.539 0.520
O63 O 0.832 0.827 0.084
O64 O 0.846 0.305 0.025
O65 O 0.852 0.367 0.420
O66 O 0.861 0.500 0.636
O67 O 0.867 0.516 0.917
O68 O 0.870 0.366 0.134
O69 O 0.961 0.163 0.801
O70 O 0.969 0.805 0.306
O71 O 0.977 0.182 0.088
O72 O 0.977 0.830 0.589
```

=====

No. 3
A plane-wave DFT calculation with GGA-PBE was carried out for a geometry-optimized Na4YGaSi2SO12 structure.

Results
* density: 3.15 g/cm³
* size of the total moment: 0.0 μB/cell
* DFT total energy: -6.494 eV per atom
* energy relative to the elements: -2641.4 meV per atom

Geometry as CIF:
```
data_Na4YGaSi2SO12
_cell_length_a 9.224
_cell_length_b 9.241
_cell_length_c 22.655
_cell_angle_alpha 89.85
_cell_angle_beta 89.63
_cell_angle_gamma 60.40
_symmetry_space_group_name_H-M 'P 1'
_symmetry_Int_Tables_number 1
loop_
_symmetry_equiv_pos_as_xyz
'x,y,z'
loop_
_atom_site_label
_atom_site_type_symbol
_atom_site_fract_x
_atom_site_fract_y
_atom_site_fract_z
Na1 Na 0.000 0.000 0.000
Na2 Na 0.003 0.370 0.480
Na3 Na 0.020 0.673 0.915
Na4 Na 0.041 0.009 0.667
Na5 Na 0.046 0.288 0.164
Na6 Na 0.051 0.641 0.409
Na7 Na 0.061 0.326 0.835
Na8 Na 0.090 0.959 0.321
Na9 Na 0.329 0.332 0.332
Na10 Na 0.343 0.708 0.820
Na11 Na 0.356 0.003 0.243
Na12 Na 0.376 0.356 0.998
Na13 Na 0.386 0.971 0.744
Na14 Na 0.389 0.614 0.495
Na15 Na 0.398 0.666 0.163
Na16 Na 0.421 0.299 0.650
Na17 Na 0.660 0.676 0.665
Na18 Na 0.675 0.040 0.153
Na19 Na 0.685 0.338 0.574
Na20 Na 0.705 0.688 0.333
Na21 Na 0.714 0.315 0.078
Na22 Na 0.716 0.950 0.834
Na23 Na 0.727 0.001 0.495
Na24 Na 0.748 0.634 0.989
Y1 Y 0.031 0.675 0.763
Y2 Y 0.042 0.663 0.556
Y3 Y 0.055 0.655 0.260
Y4 Y 0.376 0.999 0.901
Y5 Y 0.389 0.989 0.589
Y6 Y 0.708 0.330 0.729
Ga1 Ga 0.044 0.668 0.063
Ga2 Ga 0.351 0.041 0.093
Ga3 Ga 0.375 0.995 0.391
Ga4 Ga 0.686 0.362 0.425
Ga5 Ga 0.710 0.331 0.228
Ga6 Ga 0.750 0.307 0.931
Si1 Si 0.009 0.031 0.830
Si2 Si 0.046 0.964 0.158
Si3 Si 0.071 0.310 0.997
Si4 Si 0.345 0.366 0.159
Si5 Si 0.345 0.663 0.660
Si6 Si 0.386 0.288 0.485
Si7 Si 0.421 0.626 0.327
Si8 Si 0.669 0.697 0.487
Si9 Si 0.678 0.996 0.997
Si10 Si 0.708 0.620 0.833
Si11 Si 0.736 0.969 0.659
Si12 Si 0.994 0.320 0.329
S1 S 0.043 0.360 0.660
S2 S 0.076 0.002 0.490
S3 S 0.373 0.695 0.998
S4 S 0.412 0.329 0.831
S5 S 0.703 0.044 0.327
S6 S 0.743 0.663 0.159
O1 O 0.008 0.492 0.327
O2 O 0.010 0.869 0.102
O3 O 0.024 0.463 0.607
O4 O 0.028 0.845 0.831
O5 O 0.053 0.496 0.007
O6 O 0.063 0.847 0.493
O7 O 0.066 0.439 0.714
O8 O 0.084 0.852 0.217
O9 O 0.149 0.026 0.545
O10 O 0.158 0.177 0.051
O11 O 0.182 0.239 0.937
O12 O 0.186 0.154 0.334
O13 O 0.186 0.977 0.438
O14 O 0.190 0.195 0.655
O15 O 0.193 0.016 0.834
O16 O 0.218 0.682 0.002
O17 O 0.220 0.979 0.148
O18 O 0.221 0.474 0.488
O19 O 0.229 0.432 0.218
O20 O 0.232 0.651 0.324
O21 O 0.239 0.676 0.720
O22 O 0.244 0.476 0.827
O23 O 0.251 0.492 0.102
O24 O 0.258 0.635 0.601
O25 O 0.346 0.840 0.659
O26 O 0.347 0.795 0.943
O27 O 0.350 0.190 0.431
O28 O 0.368 0.176 0.152
O29 O 0.398 0.176 0.834
O30 O 0.399 0.779 0.048
O31 O 0.404 0.815 0.332
O32 O 0.414 0.189 0.548
O33 O 0.496 0.350 0.883
O34 O 0.497 0.508 0.385
O35 O 0.507 0.309 0.775
O36 O 0.520 0.527 0.992
O37 O 0.532 0.350 0.167
O38 O 0.533 0.502 0.660
O39 O 0.541 0.534 0.268
O40 O 0.544 0.028 0.052
O41 O 0.547 0.809 0.836
O42 O 0.547 0.994 0.659
O43 O 0.550 0.028 0.330
O44 O 0.562 0.298 0.479
O45 O 0.565 0.766 0.548
O46 O 0.569 0.825 0.432
O47 O 0.574 0.809 0.153
O48 O 0.612 0.952 0.937
O49 O 0.680 0.550 0.771
O50 O 0.683 0.144 0.272
O51 O 0.689 0.173 0.990
O52 O 0.693 0.506 0.484
O53 O 0.722 0.499 0.890
O54 O 0.725 0.150 0.660
O55 O 0.730 0.119 0.380
O56 O 0.732 0.507 0.164
O57 O 0.816 0.692 0.213
O58 O 0.820 0.854 0.718
O59 O 0.847 0.877 0.600
O60 O 0.851 0.873 0.322
O61 O 0.853 0.638 0.107
O62 O 0.854 0.681 0.488
O63 O 0.866 0.830 0.007
O64 O 0.875 0.152 0.165
O65 O 0.879 0.341 0.388
O66 O 0.884 0.325 0.993
O67 O 0.884 0.624 0.833
O68 O 0.886 0.122 0.887
O69 O 0.890 0.348 0.663
O70 O 0.908 0.147 0.485
O71 O 0.910 0.292 0.269
O72 O 0.931 0.134 0.769
```